P) Material: Ca5Sc2Co2O12
Method: DFT, GGA+U
State: relaxed

Computed properties:
magnetic moment: 2.00 μB/f.u.

Lattice parameters (Å, degrees): 6.3905 6.4349 6.4492 91.07 93.69 93.64
Fractional positions:
Ca 0.0000 0.0000 0.0000
Ca 0.1389 0.5075 0.8742
Ca 0.3731 0.2723 0.3589
Ca 0.6257 0.6402 0.7265
Ca 0.8592 0.1263 0.4923
Sc 0.5001 0.1271 0.8716
Sc 0.9977 0.6379 0.3630
Co 0.2440 0.8883 0.6125
Co 0.7540 0.3874 0.1117
O 0.0445 0.3489 0.2025
O 0.1420 0.9419 0.3359
O 0.2021 0.1685 0.7011
O 0.2790 0.5998 0.5454
O 0.3243 0.8417 0.8922
O 0.4665 0.4123 0.0144
O 0.5320 0.9863 0.5858
O 0.6770 0.1073 0.1574
O 0.7175 0.4562 0.4006
O 0.7968 0.2982 0.8310
O 0.8550 0.6638 0.0579
O 0.9533 0.7982 0.6520


Q) Material: Ca5Sc2Co2O12
Method: DFT, GGA+U
State: relaxed

Computed properties:
magnetic moment: 0.00 μB/f.u.

Lattice parameters (Å, degrees): 6.4321 8.8273 9.3726 89.89 88.69 86.47
Fractional positions:
Ca 0.0000 0.0000 0.0000
Ca 0.0006 0.4964 0.4981
Ca 0.1330 0.8289 0.6778
Ca 0.1338 0.3278 0.1820
Ca 0.4940 0.0057 0.1317
Ca 0.4981 0.5044 0.6296
Ca 0.6189 0.3261 0.9492
Ca 0.6224 0.8268 0.4463
Ca 0.7674 0.6374 0.1283
Ca 0.7722 0.1374 0.6228
Sc 0.1270 0.3206 0.8151
Sc 0.1310 0.8223 0.3130
Sc 0.6223 0.3180 0.3174
Sc 0.6253 0.8200 0.8160
Co 0.3817 0.0739 0.8098
Co 0.3820 0.5752 0.3148
Co 0.8821 0.0707 0.3104
Co 0.8858 0.5739 0.8141
O 0.0871 0.0909 0.7629
O 0.0912 0.5926 0.2631
O 0.1572 0.5462 0.7352
O 0.1576 0.0455 0.2334
O 0.2887 0.2057 0.9868
O 0.2915 0.6978 0.4800
O 0.3376 0.3969 0.4166
O 0.3378 0.8977 0.9147
O 0.4313 0.2627 0.7278
O 0.4349 0.7639 0.2276
O 0.4802 0.4475 0.1587
O 0.4824 0.9399 0.6517
O 0.6024 0.0874 0.3717
O 0.6039 0.5873 0.8708
O 0.6649 0.5506 0.3804
O 0.6668 0.0516 0.8822
O 0.7909 0.1909 0.1489
O 0.7919 0.6923 0.6459
O 0.8396 0.3738 0.7053
O 0.8400 0.8812 0.2120
O 0.9096 0.2621 0.4037
O 0.9104 0.7700 0.9088
O 0.9482 0.4411 0.9757
O 0.9525 0.9431 0.4727


Most stable to least stable, the ends of the list are P) and Q).